Computed, not measured: a relaxed CoAuO2 crystal at the GGA+U level of DFT.

```
CoAuO2
1.0
-3.450 5.288 -0.867
-5.399 3.381 0.179
-3.643 4.827 2.011
Co Au O
1 1 2
Direct
0.500 0.500 0.500
0.000 0.000 0.000
0.885 0.885 0.885
0.115 0.115 0.115
```

E_form: -0.96 eV/atom

=====

Computed, not measured: a relaxed CaLaTiMnO6 crystal at the GGA+U level of DFT.

```
CaLaTiMnO6
1.0
-5.565 -5.674 0.030
5.525 0.000 7.616
-5.565 5.674 0.030
Ca La Ti Mn O
4 4 4 4 24
Direct
0.106 0.251 0.655
0.606 0.251 0.155
0.905 0.751 0.856
0.405 0.751 0.356
0.601 0.250 0.641
0.101 0.250 0.141
0.391 0.750 0.851
0.891 0.750 0.351
0.249 0.001 0.751
0.749 0.001 0.251
0.001 0.501 0.999
0.501 0.501 0.499
0.499 0.499 0.000
0.250 0.999 0.249
0.999 0.499 0.500
0.750 0.999 0.749
0.572 0.745 0.096
0.072 0.745 0.596
0.846 0.245 0.822
0.346 0.245 0.322
0.026 0.040 0.810
0.526 0.040 0.310
0.060 0.540 0.776
0.560 0.540 0.276
0.219 0.458 0.017
0.719 0.458 0.517
0.267 0.958 0.969
0.767 0.958 0.469
0.229 0.044 0.533
0.729 0.044 0.033
0.283 0.544 0.479
0.783 0.544 0.979
0.437 0.456 0.720
0.937 0.456 0.220
0.470 0.956 0.687
0.970 0.956 0.187
0.659 0.754 0.679
0.159 0.754 0.179
0.929 0.254 0.409
0.429 0.254 0.909
```

magnetic moment: 0.0 μB/f.u.
E_form: -3.26 eV/atom

=====

Computed, not measured: a relaxed V2SiO4 crystal at the GGA+U level of DFT.

```
V2SiO4
1.0
4.060 -1.751 3.927
-0.233 -5.460 2.258
4.064 -4.011 -1.538
V Si O
4 2 8
Direct
0.625 0.125 0.625
0.625 0.625 0.125
0.125 0.625 0.625
0.625 0.625 0.625
0.250 0.250 0.250
0.000 0.000 0.000
0.365 0.365 0.365
0.905 0.365 0.365
0.365 0.905 0.365
0.365 0.365 0.905
0.885 0.345 0.885
0.885 0.885 0.345
0.345 0.885 0.885
0.885 0.885 0.885
```

magnetic moment: 6.0 μB/f.u.
E_form: -2.55 eV/atom
excess energy over the best structure of this formula in the dataset: 86 meV/atom

=====

Computed, not measured: a relaxed LiCoPO4 crystal at the GGA+U level of DFT.

```
LiCoPO4
1.0
3.734 -6.468 0.000
3.734 6.468 0.000
0.000 0.000 9.510
Li Co P O
6 6 6 24
Direct
0.048 0.257 0.252
0.743 0.791 0.252
0.209 0.952 0.252
0.952 0.209 0.752
0.257 0.048 0.752
0.791 0.743 0.752
0.592 0.050 0.979
0.950 0.542 0.979
0.408 0.458 0.479
0.050 0.592 0.479
0.458 0.408 0.979
0.542 0.950 0.479
0.667 0.333 0.676
0.000 0.000 0.000
0.333 0.667 0.176
0.333 0.667 0.773
0.000 0.000 0.500
0.667 0.333 0.273
0.886 0.389 0.321
0.832 0.550 0.624
0.450 0.282 0.624
0.333 0.667 0.604
0.667 0.333 0.842
0.168 0.718 0.124
0.123 0.225 0.441
0.102 0.877 0.441
0.000 0.000 0.162
0.504 0.114 0.321
0.877 0.102 0.941
0.718 0.168 0.624
0.611 0.496 0.321
0.667 0.333 0.104
0.114 0.504 0.821
0.225 0.123 0.941
0.550 0.832 0.124
0.496 0.611 0.821
0.000 0.000 0.662
0.282 0.450 0.124
0.898 0.775 0.941
0.333 0.667 0.342
0.389 0.886 0.821
0.775 0.898 0.441
```

magnetic moment: 3.0 μB/f.u.
E_form: -2.35 eV/atom
excess energy over the best structure of this formula in the dataset: 56 meV/atom

=====

Computed, not measured: a relaxed FeP3O9 crystal at the GGA+U level of DFT.

```
FeP3O9
1.0
8.447 -0.046 -0.015
-0.046 8.531 -0.003
-0.015 -0.003 8.661
Fe P O
4 12 36
Direct
0.866 0.644 0.351
0.634 0.355 0.852
0.363 0.860 0.648
0.133 0.142 0.151
0.679 0.984 0.811
0.700 0.306 0.449
0.801 0.693 0.949
0.822 0.016 0.308
0.035 0.681 0.690
0.179 0.511 0.192
0.207 0.191 0.551
0.291 0.810 0.053
0.320 0.490 0.689
0.463 0.319 0.189
0.533 0.825 0.308
0.969 0.175 0.813
0.635 0.691 0.357
0.961 0.727 0.853
0.903 0.876 0.378
0.907 0.628 0.582
0.048 0.215 0.650
0.097 0.368 0.125
0.095 0.121 0.923
0.099 0.592 0.325
0.137 0.816 0.634
0.144 0.536 0.744
0.159 0.159 0.388
0.184 0.917 0.143
0.213 0.635 0.057
0.282 0.366 0.554
0.320 0.086 0.637
0.333 0.841 0.890
0.356 0.465 0.244
0.359 0.186 0.133
0.401 0.407 0.820
0.409 0.882 0.415
0.402 0.631 0.621
0.454 0.781 0.145
0.539 0.273 0.352
0.867 0.310 0.860
0.591 0.373 0.081
0.597 0.900 0.680
0.904 0.098 0.176
0.647 0.968 0.250
0.653 0.335 0.612
0.695 0.581 0.863
0.719 0.863 0.947
0.783 0.137 0.445
0.805 0.419 0.364
0.849 0.662 0.112
0.855 0.031 0.756
0.599 0.124 0.880
```

magnetic moment: 5.0 μB/f.u.
E_form: -2.46 eV/atom
excess energy over the best structure of this formula in the dataset: 22 meV/atom